No. 1
DFT (PBE+U) results for LiMn2P2O8 after structural relaxation.

a b c (Å): 7.297 8.473 14.659
angles (deg): 89.85 90.00 90.00
Atoms (fractional coordinates):
Li  0.835  0.820  0.659
Li  0.682  0.824  0.010
Li  0.822  0.844  0.335
Li  0.322  0.156  0.665
Li  0.182  0.176  0.990
Li  0.335  0.180  0.341
Mn  0.963  0.485  0.667
Mn  0.048  0.499  0.335
Mn  0.005  0.518  0.993
Mn  0.548  0.501  0.665
Mn  0.505  0.482  0.007
Mn  0.463  0.515  0.333
Mn  0.546  0.994  0.174
Mn  0.506  0.976  0.495
Mn  0.458  0.988  0.835
Mn  0.006  0.024  0.505
Mn  0.958  0.012  0.165
Mn  0.046  0.006  0.826
P  0.258  0.302  0.159
P  0.238  0.335  0.515
P  0.256  0.362  0.821
P  0.756  0.638  0.179
P  0.738  0.665  0.485
P  0.758  0.698  0.841
P  0.252  0.810  0.663
P  0.258  0.840  0.023
P  0.232  0.858  0.326
P  0.732  0.142  0.674
P  0.758  0.160  0.977
P  0.752  0.190  0.337
O  0.573  0.284  0.347
O  0.922  0.285  0.361
O  0.753  0.318  0.700
O  0.057  0.325  0.568
O  0.735  0.325  0.017
O  0.394  0.361  0.584
O  0.239  0.345  0.261
O  0.276  0.368  0.926
O  0.434  0.426  0.777
O  0.233  0.462  0.436
O  0.281  0.447  0.099
O  0.088  0.452  0.790
O  0.733  0.538  0.564
O  0.588  0.548  0.210
O  0.781  0.553  0.901
O  0.934  0.574  0.223
O  0.739  0.655  0.739
O  0.776  0.632  0.074
O  0.894  0.639  0.416
O  0.557  0.675  0.432
O  0.235  0.675  0.983
O  0.253  0.682  0.300
O  0.422  0.715  0.639
O  0.073  0.716  0.653
O  0.929  0.808  0.856
O  0.589  0.789  0.878
O  0.735  0.821  0.206
O  0.771  0.829  0.531
O  0.443  0.850  0.075
O  0.096  0.876  0.087
O  0.215  0.881  0.429
O  0.264  0.870  0.767
O  0.052  0.926  0.283
O  0.242  0.962  0.604
O  0.395  0.962  0.292
O  0.263  0.968  0.944
O  0.895  0.038  0.708
O  0.742  0.038  0.396
O  0.763  0.032  0.056
O  0.552  0.074  0.717
O  0.715  0.119  0.571
O  0.764  0.130  0.233
O  0.596  0.124  0.913
O  0.271  0.171  0.469
O  0.943  0.150  0.925
O  0.235  0.179  0.794
O  0.089  0.211  0.122
O  0.429  0.192  0.144

## Properties
The calculation puts the formation energy at -2.48 eV/atom. The value obtained for the energy above the most stable polymorph in this dataset is 54 meV per atom. The crystal system is monoclinic. Its volume is 11.6 Å³ per atom.

No. 2
DFT (PBE+U) results for LiMn3P3O12 after structural relaxation.

a b c (Å): 9.041 9.054 12.267
angles (deg): 109.51 109.90 84.11
Atoms (fractional coordinates):
Li  0.512  0.506  0.012
Li  0.365  0.388  0.375
Li  0.988  0.993  0.489
Li  0.250  0.251  0.751
Mn  0.482  0.163  0.098
Mn  0.011  0.334  0.399
Mn  0.084  0.768  0.151
Mn  0.859  0.395  0.126
Mn  0.644  0.096  0.371
Mn  0.412  0.735  0.347
Mn  0.589  0.270  0.654
Mn  0.364  0.888  0.626
Mn  0.138  0.614  0.876
Mn  0.982  0.666  0.598
Mn  0.915  0.232  0.849
Mn  0.519  0.835  0.903
P  0.207  0.423  0.075
P  0.831  0.046  0.178
P  0.295  0.081  0.425
P  0.413  0.833  0.125
P  0.087  0.667  0.374
P  0.665  0.451  0.322
P  0.325  0.542  0.674
P  0.915  0.337  0.626
P  0.586  0.163  0.875
P  0.710  0.925  0.577
P  0.174  0.958  0.824
P  0.791  0.575  0.924
O  0.036  0.365  0.035
O  0.664  0.027  0.074
O  0.451  0.012  0.182
O  0.319  0.311  0.138
O  0.193  0.209  0.374
O  0.232  0.801  0.066
O  0.054  0.487  0.318
O  0.222  0.588  0.179
O  0.484  0.745  0.021
O  0.006  0.743  0.274
O  0.746  0.549  0.026
O  0.822  0.018  0.291
O  0.253  0.060  0.530
O  0.607  0.281  0.292
O  0.887  0.218  0.213
O  0.467  0.139  0.462
O  0.677  0.480  0.210
O  0.495  0.760  0.228
O  0.018  0.754  0.480
O  0.160  0.527  0.569
O  0.275  0.918  0.320
O  0.271  0.693  0.432
O  0.541  0.556  0.375
O  0.058  0.068  0.880
O  0.945  0.935  0.121
O  0.437  0.430  0.612
O  0.735  0.301  0.569
O  0.832  0.474  0.426
O  0.724  0.088  0.683
O  0.988  0.250  0.524
O  0.497  0.236  0.771
O  0.306  0.497  0.779
O  0.537  0.868  0.534
O  0.116  0.786  0.784
O  0.384  0.713  0.715
O  0.756  0.949  0.475
O  0.196  0.001  0.719
O  0.250  0.441  0.970
O  0.003  0.263  0.729
O  0.510  0.249  0.976
O  0.777  0.411  0.819
O  0.950  0.516  0.683
O  0.764  0.200  0.933
O  0.817  0.806  0.631
O  0.681  0.692  0.868
O  0.550  0.984  0.818
O  0.339  0.973  0.930
O  0.963  0.633  0.965

## Properties
The calculation puts the formation energy at -2.49 eV/atom. The value obtained for the energy above the most stable polymorph in this dataset is 7 meV per atom. The crystal system is triclinic. Its volume is 11.7 Å³ per atom.

No. 3
DFT (PBE+U) results for LiMnPO4 after structural relaxation.

a b c (Å): 5.637 6.407 8.474
angles (deg): 90.00 90.00 90.00
Atoms (fractional coordinates):
Li  0.000  0.000  0.500
Li  0.500  0.000  0.000
Li  0.000  0.500  0.500
Li  0.500  0.500  0.000
Mn  0.500  0.250  0.682
Mn  0.500  0.750  0.318
Mn  0.000  0.250  0.182
Mn  0.000  0.750  0.818
P  0.000  0.750  0.149
P  0.500  0.750  0.649
P  0.000  0.250  0.851
P  0.500  0.250  0.351
O  0.278  0.250  0.462
O  0.778  0.250  0.962
O  0.278  0.750  0.538
O  0.778  0.750  0.038
O  0.722  0.250  0.462
O  0.222  0.250  0.962
O  0.722  0.750  0.538
O  0.222  0.750  0.038
O  0.000  0.556  0.258
O  0.500  0.556  0.758
O  0.000  0.944  0.258
O  0.500  0.944  0.758
O  0.000  0.056  0.742
O  0.500  0.056  0.242
O  0.000  0.444  0.742
O  0.500  0.444  0.242

## Properties
The calculation puts the formation energy at -2.56 eV/atom. The value obtained for the energy above the most stable polymorph in this dataset is 77 meV per atom. Its volume is 10.9 Å³ per atom.

No. 4
DFT (PBE+U) results for Li3Mn3P4O16 after structural relaxation.

a b c (Å): 8.711 8.974 9.935
angles (deg): 104.76 107.36 110.64
Atoms (fractional coordinates):
Li  0.957  0.520  0.215
Li  0.648  0.620  0.165
Li  0.725  0.663  0.712
Li  0.275  0.337  0.288
Li  0.352  0.380  0.835
Li  0.043  0.480  0.785
Mn  0.194  0.929  0.421
Mn  0.165  0.915  0.852
Mn  0.517  0.957  0.738
Mn  0.483  0.043  0.262
Mn  0.835  0.085  0.148
Mn  0.806  0.071  0.579
P  0.411  0.732  0.396
P  0.990  0.811  0.082
P  0.447  0.770  0.956
P  0.928  0.752  0.517
P  0.072  0.248  0.483
P  0.553  0.230  0.044
P  0.010  0.189  0.918
P  0.589  0.268  0.604
O  0.190  0.934  0.216
O  0.566  0.938  0.116
O  0.142  0.875  0.587
O  0.524  0.903  0.378
O  0.217  0.717  0.357
O  0.866  0.881  0.136
O  0.504  0.777  0.572
O  0.249  0.747  0.890
O  0.833  0.869  0.524
O  0.544  0.816  0.852
O  0.411  0.571  0.304
O  0.923  0.625  0.064
O  0.861  0.639  0.347
O  0.089  0.329  0.367
O  0.984  0.833  0.931
O  0.550  0.385  0.017
O  0.450  0.615  0.983
O  0.016  0.167  0.069
O  0.911  0.671  0.633
O  0.139  0.361  0.653
O  0.077  0.375  0.936
O  0.589  0.429  0.696
O  0.456  0.184  0.148
O  0.167  0.131  0.476
O  0.751  0.253  0.110
O  0.496  0.223  0.428
O  0.134  0.119  0.864
O  0.783  0.283  0.643
O  0.476  0.097  0.622
O  0.858  0.125  0.413
O  0.434  0.062  0.884
O  0.810  0.066  0.784

## Properties
The calculation puts the formation energy at -2.47 eV/atom. The value obtained for the energy above the most stable polymorph in this dataset is 62 meV per atom. The crystal system is triclinic. Its volume is 12.2 Å³ per atom.

No. 5
DFT (PBE+U) results for LiMnPO4 after structural relaxation.

a b c (Å): 15.419 15.419 7.851
angles (deg): 90.00 90.00 120.00
Atoms (fractional coordinates):
Li  0.318  0.005  0.493
Li  0.348  0.341  0.577
Li  0.659  0.007  0.577
Li  0.667  0.333  0.703
Li  0.000  0.000  0.872
Li  0.000  0.000  0.372
Li  0.667  0.333  0.197
Li  0.995  0.313  0.493
Li  0.007  0.348  0.077
Li  0.687  0.682  0.493
Li  0.313  0.318  0.993
Li  0.993  0.652  0.577
Li  0.005  0.687  0.993
Li  0.333  0.667  0.203
Li  0.333  0.667  0.697
Li  0.341  0.993  0.077
Li  0.652  0.659  0.077
Li  0.682  0.995  0.993
Mn  0.223  0.094  0.796
Mn  0.530  0.106  0.764
Mn  0.446  0.248  0.275
Mn  0.752  0.198  0.275
Mn  0.576  0.470  0.764
Mn  0.906  0.129  0.796
Mn  0.894  0.424  0.764
Mn  0.129  0.223  0.296
Mn  0.802  0.554  0.275
Mn  0.198  0.446  0.775
Mn  0.871  0.777  0.796
Mn  0.106  0.576  0.264
Mn  0.094  0.871  0.296
Mn  0.424  0.530  0.264
Mn  0.248  0.802  0.775
Mn  0.554  0.752  0.775
Mn  0.470  0.894  0.264
Mn  0.777  0.906  0.296
P  0.225  0.095  0.205
P  0.527  0.106  0.360
P  0.444  0.246  0.862
P  0.754  0.198  0.862
P  0.579  0.473  0.360
P  0.905  0.131  0.205
P  0.894  0.421  0.360
P  0.802  0.556  0.862
P  0.131  0.225  0.705
P  0.869  0.775  0.205
P  0.198  0.444  0.362
P  0.106  0.579  0.860
P  0.095  0.869  0.705
P  0.421  0.527  0.860
P  0.246  0.802  0.362
P  0.556  0.754  0.362
P  0.473  0.894  0.860
P  0.775  0.905  0.705
O  0.125  0.021  0.297
O  0.234  0.044  0.039
O  0.227  0.194  0.161
O  0.314  0.116  0.325
O  0.455  0.019  0.240
O  0.352  0.227  0.750
O  0.442  0.146  0.900
O  0.469  0.100  0.526
O  0.439  0.296  0.030
O  0.560  0.209  0.273
O  0.621  0.097  0.402
O  0.476  0.379  0.402
O  0.806  0.033  0.161
O  0.543  0.319  0.764
O  0.681  0.223  0.764
O  0.704  0.143  0.030
O  0.773  0.125  0.750
O  0.884  0.199  0.325
O  0.564  0.545  0.240
O  0.631  0.531  0.526
O  0.956  0.189  0.039
O  0.979  0.104  0.297
O  0.649  0.440  0.273
O  0.791  0.351  0.273
O  0.854  0.296  0.900
O  0.033  0.227  0.661
O  0.704  0.558  0.900
O  0.104  0.125  0.797
O  0.777  0.457  0.764
O  0.900  0.369  0.526
O  0.189  0.234  0.539
O  0.857  0.561  0.030
O  0.903  0.524  0.402
O  0.981  0.436  0.240
O  0.125  0.352  0.250
O  0.801  0.686  0.325
O  0.199  0.314  0.825
O  0.875  0.648  0.750
O  0.019  0.564  0.740
O  0.097  0.476  0.902
O  0.143  0.439  0.530
O  0.811  0.766  0.039
O  0.100  0.631  0.026
O  0.223  0.543  0.264
O  0.896  0.875  0.297
O  0.296  0.442  0.400
O  0.967  0.773  0.161
O  0.146  0.704  0.400
O  0.209  0.649  0.773
O  0.351  0.560  0.773
O  0.021  0.896  0.797
O  0.044  0.811  0.539
O  0.369  0.469  0.026
O  0.436  0.455  0.740
O  0.116  0.801  0.825
O  0.227  0.875  0.250
O  0.296  0.857  0.530
O  0.319  0.777  0.264
O  0.457  0.681  0.264
O  0.194  0.967  0.661
O  0.524  0.621  0.902
O  0.379  0.903  0.902
O  0.440  0.791  0.773
O  0.561  0.704  0.530
O  0.531  0.900  0.026
O  0.558  0.854  0.400
O  0.648  0.773  0.250
O  0.545  0.981  0.740
O  0.686  0.884  0.825
O  0.773  0.806  0.661
O  0.766  0.956  0.539
O  0.875  0.979  0.797

## Properties
The calculation puts the formation energy at -2.57 eV/atom. The value obtained for the energy above the most stable polymorph in this dataset is 59 meV per atom. The crystal system is hexagonal. Its volume is 12.8 Å³ per atom.

No. 6
DFT (PBE+U) results for LiMnP2O8 after structural relaxation.

a b c (Å): 4.802 17.059 6.617
angles (deg): 90.00 94.25 90.00
Atoms (fractional coordinates):
Li  0.214  0.885  0.501
Li  0.286  0.385  0.999
Li  0.714  0.615  0.001
Li  0.786  0.115  0.499
Mn  0.206  0.870  0.012
Mn  0.294  0.370  0.488
Mn  0.706  0.630  0.512
Mn  0.794  0.130  0.988
P  0.173  0.712  0.271
P  0.226  0.534  0.726
P  0.274  0.034  0.774
P  0.327  0.212  0.229
P  0.673  0.788  0.771
P  0.726  0.966  0.226
P  0.774  0.466  0.274
P  0.827  0.288  0.729
O  0.010  0.192  0.187
O  0.022  0.693  0.465
O  0.059  0.672  0.078
O  0.119  0.070  0.946
O  0.081  0.434  0.288
O  0.148  0.052  0.557
O  0.137  0.804  0.244
O  0.216  0.443  0.706
O  0.284  0.943  0.794
O  0.352  0.552  0.943
O  0.381  0.570  0.554
O  0.363  0.304  0.256
O  0.419  0.934  0.212
O  0.441  0.172  0.422
O  0.510  0.308  0.687
O  0.478  0.193  0.035
O  0.522  0.807  0.965
O  0.490  0.692  0.313
O  0.559  0.828  0.578
O  0.581  0.066  0.788
O  0.637  0.696  0.744
O  0.619  0.430  0.446
O  0.648  0.448  0.057
O  0.716  0.057  0.206
O  0.784  0.557  0.294
O  0.863  0.196  0.756
O  0.852  0.948  0.443
O  0.919  0.566  0.712
O  0.881  0.930  0.054
O  0.941  0.328  0.922
O  0.978  0.307  0.535
O  0.990  0.808  0.813

## Properties
The calculation puts the formation energy at -2.28 eV/atom. The crystal system is monoclinic. Its volume is 11.3 Å³ per atom.

no.,total magnetization (μB/f.u.)
1,9.00
2,13.00
3,0.00
4,12.00
5,5.00
6,3.00